Y2WO6: relaxed, PBE with a Hubbard U.

abc: 5.301 8.723 21.119
angles: 90.00 90.00 90.00
Atoms (fractional coordinates):
Y: 0.010 0.243 0.299
Y: 0.036 0.745 0.931
Y: 0.040 0.091 0.064
Y: 0.087 0.105 0.834
Y: 0.413 0.895 0.334
Y: 0.460 0.909 0.564
Y: 0.464 0.255 0.431
Y: 0.490 0.757 0.799
Y: 0.510 0.257 0.701
Y: 0.536 0.755 0.069
Y: 0.540 0.409 0.936
Y: 0.587 0.395 0.166
Y: 0.913 0.605 0.666
Y: 0.960 0.591 0.436
Y: 0.964 0.245 0.569
Y: 0.990 0.743 0.201
W: 0.014 0.478 0.812
W: 0.063 0.484 0.057
W: 0.437 0.516 0.557
W: 0.486 0.522 0.312
W: 0.514 0.022 0.188
W: 0.563 0.016 0.943
W: 0.937 0.984 0.443
W: 0.986 0.978 0.688
O: 0.108 0.818 0.401
O: 0.128 0.826 0.634
O: 0.175 0.111 0.382
O: 0.179 0.624 0.754
O: 0.192 0.043 0.503
O: 0.202 0.454 0.622
O: 0.209 0.129 0.642
O: 0.224 0.373 0.504
O: 0.229 0.318 0.778
O: 0.229 0.447 0.373
O: 0.238 0.327 0.015
O: 0.248 0.031 0.252
O: 0.252 0.969 0.752
O: 0.262 0.673 0.515
O: 0.271 0.553 0.873
O: 0.271 0.682 0.278
O: 0.276 0.627 0.004
O: 0.291 0.871 0.142
O: 0.298 0.546 0.122
O: 0.308 0.957 0.003
O: 0.321 0.376 0.254
O: 0.325 0.889 0.882
O: 0.372 0.174 0.134
O: 0.392 0.182 0.901
O: 0.608 0.682 0.599
O: 0.628 0.674 0.366
O: 0.675 0.389 0.618
O: 0.679 0.876 0.246
O: 0.692 0.457 0.497
O: 0.702 0.046 0.378
O: 0.709 0.371 0.358
O: 0.724 0.127 0.496
O: 0.729 0.053 0.627
O: 0.729 0.182 0.222
O: 0.738 0.173 0.985
O: 0.748 0.469 0.748
O: 0.752 0.531 0.248
O: 0.762 0.827 0.485
O: 0.771 0.818 0.722
O: 0.771 0.947 0.127
O: 0.776 0.873 0.996
O: 0.791 0.629 0.858
O: 0.798 0.954 0.878
O: 0.808 0.543 0.997
O: 0.821 0.124 0.746
O: 0.825 0.611 0.118
O: 0.872 0.326 0.866
O: 0.892 0.318 0.099

Values from the calculation:
- Energy with MP2020 corrections: -680.45 eV/cell
- Formation energy from the elements: -29.48 eV/f.u.
- Mass density: 6.23 g/cm3
- Crystal system: orthorhombic
- ΔE to the lowest computed polymorph: 0.0120 eV/atom
- Raw total energy: -8.4996 eV per atom
- SG: P2_12_12_1 (19)